(1)
# YbZnCuP2

A relaxed structure of YbZnCuP2 (meta-GGA r2SCAN, Materials Project).

Cell lengths 3.917, 3.917, 6.456 Å; angles 90.00, 90.00, 120.00 degrees
Positions (direct):
1 Yb 0.000 0.000 0.000
2 Zn 0.667 0.333 0.394
3 Cu 0.333 0.667 0.656
4 P 0.333 0.667 0.267
5 P 0.667 0.333 0.764

final energy = -78.70 eV per cell
formation energy = -4.41 eV per formula unit

***

(2)
# Rb2Mo3SO13

A relaxed structure of Rb2Mo3SO13 (meta-GGA r2SCAN, Materials Project).

Cell lengths 9.395, 13.160, 11.424 Å; angles 90.00, 118.73, 90.00 degrees
Positions (direct):
1 Rb 0.019 0.184 0.455
2 Rb 0.019 0.316 0.955
3 Rb 0.465 0.691 0.448
4 Rb 0.465 0.809 0.948
5 Rb 0.535 0.191 0.052
6 Rb 0.535 0.309 0.552
7 Rb 0.981 0.684 0.045
8 Rb 0.981 0.816 0.545
9 Mo 0.147 0.563 0.800
10 Mo 0.147 0.937 0.300
11 Mo 0.193 0.519 0.525
12 Mo 0.193 0.981 0.025
13 Mo 0.456 0.009 0.633
14 Mo 0.456 0.491 0.133
15 Mo 0.544 0.509 0.867
16 Mo 0.544 0.991 0.367
17 Mo 0.807 0.019 0.975
18 Mo 0.807 0.481 0.475
19 Mo 0.853 0.063 0.700
20 Mo 0.853 0.437 0.200
21 S 0.250 0.170 0.249
22 S 0.250 0.330 0.749
23 S 0.750 0.670 0.251
24 S 0.750 0.830 0.751
25 O 0.011 0.537 0.609
26 O 0.011 0.963 0.109
27 O 0.026 0.549 0.870
28 O 0.026 0.951 0.370
29 O 0.156 0.104 0.294
30 O 0.156 0.396 0.794
31 O 0.164 0.691 0.785
32 O 0.164 0.809 0.285
33 O 0.170 0.645 0.486
34 O 0.170 0.855 0.986
35 O 0.205 0.142 0.109
36 O 0.205 0.358 0.609
37 O 0.217 0.225 0.760
38 O 0.217 0.275 0.260
39 O 0.328 0.018 0.974
40 O 0.328 0.482 0.474
41 O 0.331 0.538 0.717
42 O 0.331 0.962 0.217
43 O 0.345 0.544 0.197
44 O 0.345 0.956 0.697
45 O 0.361 0.542 0.952
46 O 0.361 0.958 0.452
47 O 0.386 0.130 0.598
48 O 0.386 0.370 0.098
49 O 0.425 0.147 0.337
50 O 0.425 0.353 0.837
51 O 0.575 0.647 0.163
52 O 0.575 0.853 0.663
53 O 0.614 0.630 0.902
54 O 0.614 0.870 0.402
55 O 0.639 0.042 0.548
56 O 0.639 0.458 0.048
57 O 0.655 0.044 0.303
58 O 0.655 0.456 0.803
59 O 0.669 0.038 0.783
60 O 0.669 0.462 0.283
61 O 0.672 0.518 0.526
62 O 0.672 0.982 0.026
63 O 0.783 0.725 0.740
64 O 0.783 0.775 0.240
65 O 0.795 0.642 0.391
66 O 0.795 0.858 0.891
67 O 0.830 0.145 0.014
68 O 0.830 0.355 0.514
69 O 0.836 0.191 0.715
70 O 0.836 0.309 0.215
71 O 0.844 0.604 0.206
72 O 0.844 0.896 0.706
73 O 0.974 0.049 0.630
74 O 0.974 0.451 0.130
75 O 0.989 0.037 0.891
76 O 0.989 0.463 0.391

final energy = -925.61 eV per cell
formation energy = -39.65 eV per formula unit

***

(3)
# CaIrO3

A relaxed structure of CaIrO3 (meta-GGA r2SCAN, Materials Project).

Cell lengths 5.151, 5.151, 7.327 Å; angles 90.00, 90.00, 144.02 degrees
Positions (direct):
1 Ca 0.248 0.752 0.750
2 Ca 0.752 0.248 0.250
3 Ir 0.000 0.000 0.000
4 Ir 0.000 0.000 0.500
5 O 0.080 0.920 0.250
6 O 0.375 0.625 0.051
7 O 0.375 0.625 0.449
8 O 0.625 0.375 0.551
9 O 0.625 0.375 0.949
10 O 0.920 0.080 0.750

final energy = -173.53 eV per cell
formation energy = -9.45 eV per formula unit

***

(4)
# Hf5NiSb3

A relaxed structure of Hf5NiSb3 (meta-GGA r2SCAN, Materials Project).

Cell lengths 8.518, 8.518, 5.692 Å; angles 90.00, 90.00, 120.00 degrees
Positions (direct):
1 Hf 0.000 0.255 0.250
2 Hf 0.000 0.745 0.750
3 Hf 0.255 0.000 0.250
4 Hf 0.255 0.255 0.750
5 Hf 0.333 0.667 0.000
6 Hf 0.333 0.667 0.500
7 Hf 0.667 0.333 0.000
8 Hf 0.667 0.333 0.500
9 Hf 0.745 0.000 0.750
10 Hf 0.745 0.745 0.250
11 Ni 0.000 0.000 0.000
12 Ni 0.000 0.000 0.500
13 Sb 0.000 0.389 0.750
14 Sb 0.000 0.611 0.250
15 Sb 0.389 0.000 0.750
16 Sb 0.389 0.389 0.250
17 Sb 0.611 0.000 0.250
18 Sb 0.611 0.611 0.750

final energy = -640.11 eV per cell
formation energy = -5.20 eV per formula unit

***

(5)
# SrSnHg

A relaxed structure of SrSnHg (meta-GGA r2SCAN, Materials Project).

Cell lengths 4.944, 4.944, 8.315 Å; angles 90.00, 90.00, 120.00 degrees
Positions (direct):
1 Sr 0.000 0.000 0.000
2 Sr 0.000 0.000 0.500
3 Sn 0.333 0.667 0.218
4 Sn 0.667 0.333 0.718
5 Hg 0.333 0.667 0.797
6 Hg 0.667 0.333 0.297

final energy = -182.27 eV per cell
formation energy = -1.88 eV per formula unit

***

(6)
# Dy12Co5Bi

A relaxed structure of Dy12Co5Bi (meta-GGA r2SCAN, Materials Project).

Cell lengths 8.306, 8.306, 8.306 Å; angles 111.03, 110.31, 107.10 degrees
Positions (direct):
1 Dy 0.011 0.208 0.803
2 Dy 0.182 0.288 0.470
3 Dy 0.182 0.712 0.894
4 Dy 0.310 0.002 0.692
5 Dy 0.310 0.619 0.308
6 Dy 0.405 0.208 0.197
7 Dy 0.595 0.792 0.803
8 Dy 0.690 0.381 0.692
9 Dy 0.690 0.998 0.308
10 Dy 0.818 0.288 0.106
11 Dy 0.818 0.712 0.530
12 Dy 0.989 0.792 0.197
13 Co 0.000 0.000 0.000
14 Co 0.110 0.610 0.500
15 Co 0.381 0.000 0.381
16 Co 0.619 0.000 0.619
17 Co 0.890 0.390 0.500
18 Bi 0.500 0.500 0.000

final energy = -512.96 eV per cell
formation energy = -4.51 eV per formula unit

***

(7)
# Tm2CuPt

A relaxed structure of Tm2CuPt (meta-GGA r2SCAN, Materials Project).

Cell lengths 6.806, 6.806, 6.806 Å; angles 90.00, 90.00, 90.00 degrees
Positions (direct):
1 Tm 0.250 0.250 0.250
2 Tm 0.250 0.250 0.750
3 Tm 0.250 0.750 0.250
4 Tm 0.250 0.750 0.750
5 Tm 0.750 0.250 0.250
6 Tm 0.750 0.250 0.750
7 Tm 0.750 0.750 0.250
8 Tm 0.750 0.750 0.750
9 Cu 0.000 0.000 0.000
10 Cu 0.000 0.500 0.500
11 Cu 0.500 0.000 0.500
12 Cu 0.500 0.500 0.000
13 Pt 0.000 0.000 0.500
14 Pt 0.000 0.500 0.000
15 Pt 0.500 0.000 0.000
16 Pt 0.500 0.500 0.500

final energy = -544.42 eV per cell
formation energy = -3.53 eV per formula unit

***

(8)
# Nd5Ir2

A relaxed structure of Nd5Ir2 (meta-GGA r2SCAN, Materials Project).

Cell lengths 8.957, 8.957, 7.298 Å; angles 96.03, 96.03, 44.06 degrees
Positions (direct):
1 Nd 0.067 0.933 0.750
2 Nd 0.150 0.285 0.318
3 Nd 0.285 0.150 0.818
4 Nd 0.295 0.520 0.082
5 Nd 0.480 0.705 0.418
6 Nd 0.520 0.295 0.582
7 Nd 0.705 0.480 0.918
8 Nd 0.715 0.850 0.182
9 Nd 0.850 0.715 0.682
10 Nd 0.933 0.067 0.250
11 Ir 0.101 0.677 0.426
12 Ir 0.323 0.899 0.074
13 Ir 0.677 0.101 0.926
14 Ir 0.899 0.323 0.574

final energy = -511.89 eV per cell
formation energy = -4.14 eV per formula unit

***

(9)
# Re3Te7I7

A relaxed structure of Re3Te7I7 (meta-GGA r2SCAN, Materials Project).

Cell lengths 11.025, 11.055, 12.356 Å; angles 86.59, 75.20, 61.83 degrees
Positions (direct):
1 Re 0.061 0.119 0.411
2 Re 0.115 0.984 0.598
3 Re 0.157 0.845 0.408
4 Re 0.843 0.155 0.592
5 Re 0.885 0.016 0.402
6 Re 0.939 0.881 0.589
7 Te 0.018 0.260 0.602
8 Te 0.102 0.979 0.222
9 Te 0.150 0.291 0.299
10 Te 0.211 0.710 0.595
11 Te 0.294 0.958 0.722
12 Te 0.332 0.949 0.418
13 Te 0.378 0.614 0.297
14 Te 0.622 0.386 0.703
15 Te 0.668 0.051 0.582
16 Te 0.706 0.042 0.278
17 Te 0.789 0.290 0.405
18 Te 0.850 0.709 0.701
19 Te 0.898 0.021 0.778
20 Te 0.982 0.740 0.398
21 I 0.017 0.594 0.859
22 I 0.144 0.170 0.892
23 I 0.290 0.767 0.877
24 I 0.295 0.548 0.124
25 I 0.357 0.312 0.447
26 I 0.391 0.126 0.131
27 I 0.432 0.310 0.842
28 I 0.568 0.690 0.158
29 I 0.609 0.874 0.869
30 I 0.643 0.688 0.553
31 I 0.705 0.452 0.876
32 I 0.710 0.233 0.123
33 I 0.856 0.830 0.108
34 I 0.983 0.406 0.141

final energy = -1020.84 eV per cell
formation energy = -3.36 eV per formula unit

***

(10)
# Mn2Sb

A relaxed structure of Mn2Sb (meta-GGA r2SCAN, Materials Project).

Cell lengths 4.038, 4.038, 6.791 Å; angles 90.00, 90.00, 90.00 degrees
Positions (direct):
1 Mn 0.250 0.250 0.196
2 Mn 0.250 0.750 0.500
3 Mn 0.750 0.250 0.500
4 Mn 0.750 0.750 0.804
5 Sb 0.250 0.250 0.788
6 Sb 0.750 0.750 0.212

final energy = -111.44 eV per cell
formation energy = -0.65 eV per formula unit

***

(11)
# Ho6Ti4Al43

A relaxed structure of Ho6Ti4Al43 (meta-GGA r2SCAN, Materials Project).

Cell lengths 10.969, 10.969, 17.743 Å; angles 90.00, 90.00, 120.00 degrees
Positions (direct):
1 Ho 0.000 0.470 0.097
2 Ho 0.000 0.470 0.403
3 Ho 0.000 0.530 0.597
4 Ho 0.000 0.530 0.903
5 Ho 0.470 0.000 0.097
6 Ho 0.470 0.000 0.403
7 Ho 0.470 0.470 0.597
8 Ho 0.470 0.470 0.903
9 Ho 0.530 0.000 0.597
10 Ho 0.530 0.000 0.903
11 Ho 0.530 0.530 0.097
12 Ho 0.530 0.530 0.403
13 Ti 0.000 0.000 0.000
14 Ti 0.000 0.000 0.500
15 Ti 0.000 0.273 0.250
16 Ti 0.000 0.727 0.750
17 Ti 0.273 0.000 0.250
18 Ti 0.273 0.273 0.750
19 Ti 0.727 0.000 0.750
20 Ti 0.727 0.727 0.250
21 Al 0.000 0.147 0.750
22 Al 0.000 0.156 0.117
23 Al 0.000 0.156 0.383
24 Al 0.000 0.253 0.529
25 Al 0.000 0.253 0.971
26 Al 0.000 0.747 0.029
27 Al 0.000 0.747 0.471
28 Al 0.000 0.844 0.617
29 Al 0.000 0.844 0.883
30 Al 0.000 0.853 0.250
31 Al 0.147 0.000 0.750
32 Al 0.147 0.147 0.250
33 Al 0.152 0.554 0.250
34 Al 0.152 0.597 0.750
35 Al 0.156 0.000 0.117
36 Al 0.156 0.000 0.383
37 Al 0.156 0.156 0.617
38 Al 0.156 0.156 0.883
39 Al 0.159 0.393 0.664
40 Al 0.159 0.393 0.836
41 Al 0.159 0.766 0.164
42 Al 0.159 0.766 0.336
43 Al 0.234 0.393 0.164
44 Al 0.234 0.393 0.336
45 Al 0.234 0.841 0.664
46 Al 0.234 0.841 0.836
47 Al 0.248 0.495 0.000
48 Al 0.248 0.495 0.500
49 Al 0.248 0.752 0.000
50 Al 0.248 0.752 0.500
51 Al 0.253 0.000 0.529
52 Al 0.253 0.000 0.971
53 Al 0.253 0.253 0.029
54 Al 0.253 0.253 0.471
55 Al 0.333 0.667 0.126
56 Al 0.333 0.667 0.374
57 Al 0.333 0.667 0.626
58 Al 0.333 0.667 0.874
59 Al 0.393 0.159 0.664
60 Al 0.393 0.159 0.836
61 Al 0.393 0.234 0.164
62 Al 0.393 0.234 0.336
63 Al 0.403 0.554 0.750
64 Al 0.403 0.848 0.250
65 Al 0.446 0.597 0.250
66 Al 0.446 0.848 0.750
67 Al 0.495 0.248 0.000
68 Al 0.495 0.248 0.500
69 Al 0.505 0.752 0.000
70 Al 0.505 0.752 0.500
71 Al 0.554 0.152 0.250
72 Al 0.554 0.403 0.750
73 Al 0.597 0.152 0.750
74 Al 0.597 0.446 0.250
75 Al 0.607 0.766 0.664
76 Al 0.607 0.766 0.836
77 Al 0.607 0.841 0.164
78 Al 0.607 0.841 0.336
79 Al 0.667 0.333 0.126
80 Al 0.667 0.333 0.374
81 Al 0.667 0.333 0.626
82 Al 0.667 0.333 0.874
83 Al 0.747 0.000 0.029
84 Al 0.747 0.000 0.471
85 Al 0.747 0.747 0.529
86 Al 0.747 0.747 0.971
87 Al 0.752 0.248 0.000
88 Al 0.752 0.248 0.500
89 Al 0.752 0.505 0.000
90 Al 0.752 0.505 0.500
91 Al 0.766 0.159 0.164
92 Al 0.766 0.159 0.336
93 Al 0.766 0.607 0.664
94 Al 0.766 0.607 0.836
95 Al 0.841 0.234 0.664
96 Al 0.841 0.234 0.836
97 Al 0.841 0.607 0.164
98 Al 0.841 0.607 0.336
99 Al 0.844 0.000 0.617
100 Al 0.844 0.000 0.883
101 Al 0.844 0.844 0.117
102 Al 0.844 0.844 0.383
103 Al 0.848 0.403 0.250
104 Al 0.848 0.446 0.750
105 Al 0.853 0.000 0.250
106 Al 0.853 0.853 0.750

final energy = -1115.34 eV per cell
formation energy = -19.15 eV per formula unit

***

(12)
# Cs4Cu3F10

A relaxed structure of Cs4Cu3F10 (meta-GGA r2SCAN, Materials Project).

Cell lengths 6.249, 7.661, 7.903 Å; angles 65.68, 89.99, 65.95 degrees
Positions (direct):
1 Cs 0.035 0.430 0.286
2 Cs 0.313 0.874 0.216
3 Cs 0.687 0.126 0.784
4 Cs 0.965 0.570 0.714
5 Cu 0.302 0.895 0.684
6 Cu 0.500 0.500 0.000
7 Cu 0.698 0.105 0.316
8 F 0.000 0.000 0.500
9 F 0.179 0.721 0.937
10 F 0.180 0.141 0.721
11 F 0.399 0.279 0.064
12 F 0.434 0.630 0.671
13 F 0.500 0.000 0.500
14 F 0.566 0.370 0.329
15 F 0.601 0.721 0.936
16 F 0.820 0.859 0.279
17 F 0.821 0.279 0.063

final energy = -205.18 eV per cell
formation energy = -40.94 eV per formula unit

***

(13)
# TmCdNi4

A relaxed structure of TmCdNi4 (meta-GGA r2SCAN, Materials Project).

Cell lengths 4.892, 4.892, 4.892 Å; angles 60.00, 60.00, 60.00 degrees
Positions (direct):
1 Tm 0.000 0.000 0.000
2 Cd 0.250 0.250 0.250
3 Ni 0.128 0.624 0.624
4 Ni 0.624 0.128 0.624
5 Ni 0.624 0.624 0.128
6 Ni 0.624 0.624 0.624

final energy = -105.25 eV per cell
formation energy = -2.09 eV per formula unit

***

(14)
# NdZnIn

A relaxed structure of NdZnIn (meta-GGA r2SCAN, Materials Project).

Cell lengths 4.696, 4.696, 7.685 Å; angles 90.00, 90.00, 120.00 degrees
Positions (direct):
1 Nd 0.000 0.000 0.000
2 Nd 0.000 0.000 0.500
3 Zn 0.333 0.667 0.250
4 Zn 0.667 0.333 0.750
5 In 0.333 0.667 0.750
6 In 0.667 0.333 0.250

final energy = -125.17 eV per cell
formation energy = -1.68 eV per formula unit